# KCaCl3, relaxed, DFT PBE
data_KCaCl3
_cell_length_a 7.646
_cell_length_b 7.649
_cell_length_c 5.407
_cell_angle_alpha 90.00
_cell_angle_beta 90.01
_cell_angle_gamma 90.00
_symmetry_space_group_name_H-M 'C 1 m 1'
_symmetry_Int_Tables_number 8
loop_
_symmetry_equiv_pos_as_xyz
'x,y,z'
'x,-y,z'
'x+1/2,y+1/2,z'
'x+1/2,-y+1/2,z'
loop_
_atom_site_label
_atom_site_fract_x
_atom_site_fract_y
_atom_site_fract_z
K1 0.000 0.000 0.000
Ca1 0.000 0.500 0.485
Cl1 0.009 0.500 0.985
Cl2 0.249 0.248 0.483
# total DFT energy (no corrections)	-3.93	eV/atom
# total moment	0.000	μB/atom